Material: Li2CrSiO5
Method: DFT, PBE+U
State: optimized geometry

a = 13.044 Å, b = 5.038 Å, c = 12.483 Å
α = 90.00°, β = 118.22°, γ = 90.00°
Space group P2_1/c (No. 14)
One atom of each set of equivalent atoms:
Li: 0.092 0.222 0.155
Li: 0.183 0.712 0.825
Li: 0.320 0.239 0.644
Li: 0.408 0.725 0.063
Cr: 0.061 0.229 0.867
Cr: 0.437 0.730 0.805
Si: 0.160 0.712 0.065
Si: 0.338 0.220 0.906
O: 0.005 0.046 0.712
O: 0.096 0.665 0.639
O: 0.124 0.618 0.439
O: 0.132 0.109 0.535
O: 0.200 0.195 0.347
O: 0.301 0.733 0.143
O: 0.355 0.603 0.395
O: 0.382 0.119 0.320
O: 0.406 0.172 0.546
O: 0.500 0.047 0.789

Calculated values
Total DFT energy (no corrections) = -6.783 eV per atom
Total magnetization = 16.0 μB/cell
V = 723 Å³/cell

Material: Li7Mn8B8O24
Method: DFT, PBE+U
State: optimized geometry

a = 5.228 Å, b = 9.116 Å, c = 11.534 Å
α = 68.60°, β = 77.80°, γ = 89.28°
Space group P1 (No. 1)
One atom of each set of equivalent atoms:
Li: 0.000 0.000 0.000
Li: 0.018 0.042 0.239
Li: 0.203 0.259 0.503
Li: 0.257 0.287 0.764
Li: 0.520 0.530 0.246
Li: 0.707 0.757 0.503
Li: 0.767 0.795 0.744
Mn: 0.204 0.904 0.532
Mn: 0.269 0.611 0.790
Mn: 0.476 0.798 0.029
Mn: 0.492 0.186 0.284
Mn: 0.696 0.407 0.539
Mn: 0.752 0.102 0.785
Mn: 0.944 0.342 0.035
Mn: 0.997 0.694 0.284
B: 0.193 0.563 0.545
B: 0.255 0.937 0.790
B: 0.467 0.132 0.041
B: 0.487 0.855 0.290
B: 0.696 0.067 0.539
B: 0.757 0.441 0.794
B: 0.963 0.639 0.044
B: 0.991 0.364 0.288
O: 0.065 0.762 0.070
O: 0.131 0.839 0.747
O: 0.138 0.067 0.806
O: 0.140 0.542 0.000
O: 0.200 0.135 0.052
O: 0.240 0.356 0.310
O: 0.287 0.414 0.567
O: 0.310 0.959 0.322
O: 0.325 0.673 0.574
O: 0.403 0.741 0.249
O: 0.467 0.104 0.493
O: 0.501 0.901 0.819
O: 0.596 0.230 0.083
O: 0.621 0.029 0.996
O: 0.643 0.334 0.755
O: 0.663 0.583 0.780
O: 0.701 0.607 0.063
O: 0.742 0.866 0.304
O: 0.800 0.924 0.552
O: 0.820 0.176 0.573
O: 0.820 0.465 0.325
O: 0.901 0.267 0.231
O: 0.966 0.601 0.498
O: 0.989 0.401 0.844

Calculated values
Total DFT energy (no corrections) = -7.357 eV per atom
Total magnetization = 39.0 μB/cell
V = 499 Å³/cell

Number 1: energy of formation -2538 meV/atom. Number 2: energy of formation -2484 meV/atom.